# 1
Compound: LaN
Source: the Materials Project
Functional: PBE
Structure: optimized geometry

Cell: 3.754 3.754 3.754 Å, 60.00 60.00 60.00°
Element x y z (fractional)
La  0.000  0.000  0.000
N  0.500  0.500  0.500

## Properties
**Symmetry**: Fm-3m (225)

***

# 2
Compound: CaMgTl2
Source: the Materials Project
Functional: PBE
Structure: optimized geometry

Cell: 5.337 5.337 5.337 Å, 60.00 60.00 60.00°
Element x y z (fractional)
Tl  0.750  0.750  0.750
Tl  0.250  0.250  0.250
Ca  0.500  0.500  0.500
Mg  0.000  0.000  0.000

## Properties
**Symmetry**: Fm-3m (225)

***

# 3
Compound: Ba3SrSb2O9
Source: the Materials Project
Functional: PBE
Structure: optimized geometry

Cell: 6.173 6.180 15.375 Å, 91.14 91.89 119.42°
Element x y z (fractional)
O  0.106  0.774  0.898
O  0.569  0.755  0.934
O  0.699  0.853  0.613
O  0.894  0.226  0.102
O  0.224  0.420  0.569
O  0.260  0.907  0.596
O  0.431  0.245  0.066
O  0.536  0.492  0.247
O  0.776  0.580  0.431
O  0.740  0.093  0.404
O  0.051  0.536  0.729
O  0.901  0.693  0.111
O  0.099  0.307  0.889
O  0.949  0.464  0.271
O  0.301  0.147  0.387
O  0.516  0.053  0.232
O  0.464  0.508  0.753
O  0.484  0.947  0.768
Sr  0.000  0.000  0.500
Sr  0.000  0.000  0.000
Sb  0.637  0.305  0.343
Sb  0.699  0.360  0.156
Sb  0.301  0.640  0.844
Sb  0.363  0.695  0.657
Ba  0.020  0.998  0.750
Ba  0.344  0.669  0.097
Ba  0.656  0.331  0.903
Ba  0.681  0.353  0.593
Ba  0.980  0.002  0.250
Ba  0.319  0.647  0.407

## Properties
**Symmetry**: P-1 (2)

***

Number 1: energy of formation from the pure elements -144 kJ/mol of atoms. Number 2: energy of formation from the pure elements -27 kJ/mol of atoms. Number 3: energy of formation from the pure elements -263 kJ/mol of atoms.